Entry from the Materials Project database: an optimized crystal structure of YMgAlGe2 (PBE).

a = 4.310 Å, b = 4.313 Å, c = 6.883 Å
α = 90.00°, β = 90.00°, γ = 120.02°
Atoms (fractional coordinates):
Y: 0.000 0.000 0.006
Mg: 0.667 0.333 0.361
Al: 0.333 0.667 0.630
Ge: 0.333 0.667 0.244
Ge: 0.667 0.333 0.759

Calculated values
* formation energy from the elements: -482 meV/atom
* space group: P3m1

---

Entry from the Materials Project database: an optimized crystal structure of AlGe3Mo2 (PBE).

a = 4.853 Å, b = 4.854 Å, c = 13.413 Å
α = 89.99°, β = 90.34°, γ = 60.01°
Atoms (fractional coordinates):
Al: 0.167 0.667 0.085
Al: 0.164 0.669 0.583
Al: 0.669 0.164 0.249
Ge: 0.668 0.165 0.749
Ge: 0.168 0.164 0.416
Ge: 0.163 0.166 0.918
Ge: 0.828 0.334 0.086
Ge: 0.834 0.336 0.583
Ge: 0.333 0.831 0.248
Ge: 0.328 0.833 0.748
Ge: 0.836 0.840 0.416
Ge: 0.842 0.832 0.919
Mo: 0.500 0.999 0.080
Mo: 0.500 0.001 0.584
Mo: 0.001 0.500 0.253
Mo: 0.000 0.500 0.753
Mo: 0.500 0.500 0.417
Mo: 0.500 0.499 0.914

Calculated values
* formation energy from the elements: -222 meV/atom
* space group: P1